(1)
Entry from Materials Project: a relaxed Ca4Mn3CrO11 crystal (GGA+U).

Lattice parameters (Å, degrees): 7.6605 7.6712 7.6527 90.00 90.00 90.00
Fractional coordinates of all 38 atoms:
Ca 0.2492 0.2502 0.0000
Ca 0.2492 0.7498 0.0000
Ca 0.2504 0.2481 0.4930
Ca 0.2504 0.7519 0.4930
Ca 0.7496 0.2481 0.4930
Ca 0.7496 0.7519 0.4930
Ca 0.7508 0.2502 0.0000
Ca 0.7508 0.7498 0.0000
Mn 0.0000 0.0000 0.2537
Mn 0.0000 0.5000 0.2438
Mn 0.5000 0.0000 0.2394
Mn 0.5000 0.0000 0.7513
Mn 0.5000 0.5000 0.2533
Mn 0.5000 0.5000 0.7382
Cr 0.0000 0.0000 0.7402
Cr 0.0000 0.5000 0.7505
O 0.0000 0.0000 0.0005
O 0.0000 0.0000 0.4893
O 0.0000 0.2531 0.2651
O 0.0000 0.2598 0.7186
O 0.0000 0.5000 0.9890
O 0.0000 0.7402 0.7186
O 0.0000 0.7469 0.2651
O 0.2444 0.5000 0.7182
O 0.2471 0.5000 0.2652
O 0.2546 0.0000 0.2663
O 0.2587 0.0000 0.7160
O 0.5000 0.0000 0.9939
O 0.5000 0.2459 0.2667
O 0.5000 0.2463 0.7229
O 0.5000 0.5000 0.4952
O 0.5000 0.5000 0.9946
O 0.5000 0.7541 0.2667
O 0.5000 0.7537 0.7229
O 0.7413 0.0000 0.7160
O 0.7454 0.0000 0.2663
O 0.7529 0.5000 0.2652
O 0.7556 0.5000 0.7182

Output
- Symmetry: Pmm2 (25)
- Formation energy from the elements: -2.487 eV/atom
- Raw total energy: -6.962 eV per atom
- E above lowest polymorph: 0.065 eV/atom

(2)
Entry from Materials Project: a relaxed Ca4Mn3CrO11 crystal (GGA+U).

Lattice parameters (Å, degrees): 5.4248 10.8376 15.4970 89.55 89.76 89.45
Fractional coordinates of all 76 atoms:
Ca 0.0000 0.0000 0.0000
Ca 0.0010 0.5532 0.7552
Ca 0.0062 0.5135 0.0104
Ca 0.0078 0.5038 0.4878
Ca 0.0398 0.9949 0.7612
Ca 0.4924 0.7443 0.9993
Ca 0.4959 0.7717 0.7642
Ca 0.4998 0.7378 0.4871
Ca 0.5062 0.2711 0.0157
Ca 0.5070 0.2703 0.4827
Ca 0.5097 0.2967 0.2493
Ca 0.5122 0.7900 0.2436
Ca 0.5412 0.3157 0.7466
Ca 0.9890 0.0424 0.2417
Ca 0.9962 0.5450 0.2481
Ca 0.9970 0.0097 0.4756
Mn 0.0024 0.2708 0.3692
Mn 0.0030 0.7744 0.3708
Mn 0.0031 0.7765 0.1228
Mn 0.0080 0.2883 0.6199
Mn 0.0362 0.2802 0.8866
Mn 0.4941 0.0220 0.3618
Mn 0.4954 0.0256 0.1190
Mn 0.5018 0.5232 0.3702
Mn 0.5023 0.5257 0.6231
Mn 0.5033 0.5250 0.1262
Mn 0.5122 0.5175 0.8758
Mn 0.9988 0.2740 0.1268
Cr 0.4869 0.0126 0.8778
Cr 0.6263 0.0406 0.6398
Cr 0.9778 0.7592 0.6181
Cr 0.9986 0.7669 0.8786
O 0.0690 0.7701 0.7439
O 0.0821 0.2598 0.2470
O 0.0831 0.7683 0.2474
O 0.1772 0.1223 0.8738
O 0.2013 0.6250 0.5940
O 0.2082 0.1321 0.0984
O 0.2153 0.6317 0.3925
O 0.2161 0.6148 0.8958
O 0.2233 0.6351 0.1037
O 0.2242 0.1314 0.3876
O 0.2804 0.3857 0.1089
O 0.2810 0.3832 0.3888
O 0.2896 0.8722 0.8914
O 0.2917 0.8828 0.3979
O 0.2931 0.8828 0.0944
O 0.3390 0.3564 0.6156
O 0.3487 0.3584 0.8815
O 0.4187 0.0087 0.2382
O 0.4263 0.5232 0.7485
O 0.4280 0.5197 0.2487
O 0.4509 0.9989 0.7356
O 0.4858 0.0632 0.5401
O 0.5780 0.5206 0.4973
O 0.5792 0.5196 0.9995
O 0.5795 0.0574 0.9906
O 0.6594 0.6923 0.6356
O 0.7066 0.1715 0.1450
O 0.7141 0.1648 0.3579
O 0.7142 0.6692 0.3537
O 0.7163 0.6574 0.8571
O 0.7219 0.6671 0.1437
O 0.7815 0.9163 0.8589
O 0.7877 0.4177 0.1478
O 0.7889 0.4148 0.3533
O 0.7944 0.9221 0.1381
O 0.7936 0.9218 0.3528
O 0.8047 0.4350 0.6487
O 0.8112 0.1662 0.6898
O 0.8164 0.4035 0.8449
O 0.8931 0.9421 0.6246
O 0.9171 0.7792 0.0023
O 0.9227 0.7906 0.4931
O 0.9288 0.2893 0.0036
O 0.9448 0.2632 0.4962

Output
- Symmetry: P1 (1)
- Formation energy from the elements: -2.552 eV/atom
- Raw total energy: -7.027 eV per atom
- E above lowest polymorph: 0.000 eV/atom

(3)
Entry from Materials Project: a relaxed SrCa7Mn7CrO20 crystal (GGA+U).

Lattice parameters (Å, degrees): 7.8623 7.8623 7.6799 91.73 91.73 90.63
Fractional coordinates of all 36 atoms:
Sr 0.0000 0.0000 0.0000
Ca 0.5049 0.5049 0.0175
Ca 0.5159 0.9937 0.0089
Ca 0.5178 0.5178 0.4747
Ca 0.5269 0.9948 0.4595
Ca 0.9767 0.9767 0.4491
Ca 0.9937 0.5159 0.0089
Ca 0.9948 0.5269 0.4595
Mn 0.2485 0.2485 0.2716
Mn 0.2499 0.7414 0.2408
Mn 0.2518 0.7603 0.7488
Mn 0.7414 0.2499 0.2408
Mn 0.7445 0.7445 0.2393
Mn 0.7439 0.7439 0.7410
Mn 0.7603 0.2518 0.7488
Cr 0.2346 0.2346 0.7328
O 0.0286 0.2926 0.8074
O 0.2299 0.7170 0.9898
O 0.2403 0.4855 0.2157
O 0.2439 0.9989 0.2732
O 0.2540 0.7201 0.4971
O 0.2926 0.0286 0.8074
O 0.3167 0.3167 0.5389
O 0.4855 0.2403 0.2157
O 0.5003 0.7307 0.7833
O 0.5049 0.7480 0.2162
O 0.7170 0.2299 0.9898
O 0.7201 0.2540 0.4971
O 0.7307 0.5003 0.7833
O 0.7385 0.7385 0.4895
O 0.7427 0.9950 0.7465
O 0.7473 0.9871 0.2362
O 0.7480 0.5049 0.2162
O 0.9871 0.7473 0.2362
O 0.9950 0.7427 0.7465
O 0.9989 0.2439 0.2732

Output
- Symmetry: Cm (8)
- Formation energy from the elements: -2.486 eV/atom
- Raw total energy: -6.960 eV per atom
- E above lowest polymorph: 0.045 eV/atom

(4)
Entry from Materials Project: a relaxed SrCa7Mn7CrO21 crystal (GGA+U).

Lattice parameters (Å, degrees): 7.7569 7.7749 7.7909 89.38 89.96 89.83
Fractional coordinates of all 37 atoms:
Sr 0.0000 0.0000 0.0000
Ca 0.0008 0.5215 0.9621
Ca 0.0109 0.9563 0.4884
Ca 0.0169 0.5054 0.4976
Ca 0.4870 0.0171 0.0084
Ca 0.4912 0.9905 0.5194
Ca 0.5012 0.5356 0.9602
Ca 0.5026 0.5404 0.4844
Mn 0.2531 0.7381 0.2403
Mn 0.2555 0.2296 0.2605
Mn 0.2562 0.2592 0.7424
Mn 0.2571 0.7377 0.7400
Mn 0.7503 0.2572 0.7466
Mn 0.7514 0.7645 0.7353
Mn 0.7519 0.7323 0.2425
Cr 0.7427 0.2619 0.2384
O 0.0009 0.7397 0.2737
O 0.0033 0.3083 0.7510
O 0.0115 0.7221 0.7101
O 0.2235 0.7153 0.9862
O 0.2291 0.1733 0.5139
O 0.2515 0.4780 0.2960
O 0.2514 0.9839 0.2045
O 0.2622 0.2506 0.9963
O 0.2817 0.7788 0.4959
O 0.3081 0.4999 0.7134
O 0.4911 0.8095 0.7804
O 0.4999 0.1942 0.7362
O 0.5042 0.7283 0.2041
O 0.5388 0.1685 0.2904
O 0.7054 0.5060 0.7210
O 0.7164 0.7897 0.4841
O 0.7274 0.2637 0.0088
O 0.7581 0.4732 0.3223
O 0.7832 0.7408 0.9914
O 0.8093 0.0160 0.7239
O 0.9406 0.1535 0.2799

Output
- Symmetry: P1 (1)
- Formation energy from the elements: -2.537 eV/atom
- Raw total energy: -7.005 eV per atom
- E above lowest polymorph: 0.000 eV/atom

(5)
Entry from Materials Project: a relaxed SrCa7Mn7CrO20 crystal (GGA+U).

Lattice parameters (Å, degrees): 11.0307 11.1595 15.4422 90.00 90.29 91.62
Fractional coordinates of all 144 atoms:
Sr 0.0000 0.0000 0.0000
Sr 0.0111 0.0137 0.2679
Sr 0.2401 0.7531 0.2773
Sr 0.7283 0.2702 0.0125
Ca 0.0067 0.5058 0.9928
Ca 0.0083 0.4931 0.4979
Ca 0.0091 0.9915 0.4984
Ca 0.0135 0.0197 0.7696
Ca 0.0164 0.5147 0.7675
Ca 0.0162 0.5183 0.2741
Ca 0.2360 0.7558 0.7763
Ca 0.2424 0.2517 0.7768
Ca 0.2443 0.2547 0.2773
Ca 0.2792 0.2574 0.0034
Ca 0.2820 0.7597 0.5066
Ca 0.2834 0.2549 0.5093
Ca 0.2831 0.7567 0.0020
Ca 0.4594 0.5083 0.7668
Ca 0.4587 0.5085 0.2674
Ca 0.4595 0.0111 0.7648
Ca 0.4652 0.0119 0.2727
Ca 0.4824 0.0042 0.5162
Ca 0.4825 0.0058 0.0072
Ca 0.4840 0.5062 0.0166
Ca 0.4871 0.5076 0.5154
Ca 0.6925 0.2799 0.2613
Ca 0.6975 0.2804 0.7605
Ca 0.6981 0.7812 0.7594
Ca 0.6980 0.7818 0.2600
Ca 0.7208 0.2750 0.5164
Ca 0.7215 0.7737 0.5145
Ca 0.7247 0.7714 0.0164
Mn 0.0004 0.2456 0.8854
Mn 0.2431 0.4982 0.1351
Mn 0.2446 0.0010 0.6369
Mn 0.2455 0.0058 0.8908
Mn 0.2461 0.5029 0.6365
Mn 0.2458 0.5040 0.3957
Mn 0.2468 0.5085 0.8920
Mn 0.4814 0.2584 0.1408
Mn 0.4843 0.2622 0.6425
Mn 0.4845 0.7596 0.6426
Mn 0.4887 0.7583 0.1403
Mn 0.4939 0.2650 0.8859
Mn 0.4944 0.2655 0.3883
Mn 0.4972 0.7636 0.3874
Mn 0.4981 0.7641 0.8857
Mn 0.7233 0.0102 0.1377
Mn 0.7281 0.0137 0.6424
Mn 0.7288 0.5136 0.6430
Mn 0.7332 0.0248 0.8922
Mn 0.7336 0.5106 0.1411
Mn 0.7352 0.5262 0.3996
Mn 0.7364 0.0314 0.4018
Mn 0.7384 0.5291 0.8970
Mn 0.9659 0.8038 0.6465
Mn 0.9690 0.3032 0.6443
Mn 0.9704 0.7899 0.1418
Mn 0.9954 0.7407 0.3927
Mn 0.9949 0.7416 0.8844
Cr 0.0025 0.2440 0.3932
Cr 0.2461 0.0084 0.3927
Cr 0.2554 0.9912 0.1359
Cr 0.9742 0.3164 0.1481
O 0.0079 0.7250 0.2602
O 0.0206 0.7218 0.7553
O 0.0244 0.2354 0.2503
O 0.0252 0.2274 0.7555
O 0.0658 0.4632 0.1336
O 0.0763 0.9542 0.6373
O 0.0786 0.4553 0.6351
O 0.0836 0.8900 0.8764
O 0.0871 0.3942 0.8803
O 0.0924 0.3960 0.3804
O 0.0927 0.8898 0.3837
O 0.0947 0.9368 0.1363
O 0.1382 0.1472 0.4191
O 0.1419 0.6372 0.4191
O 0.1429 0.1405 0.9137
O 0.1444 0.6418 0.9157
O 0.2377 0.5304 0.2616
O 0.2404 0.0409 0.7616
O 0.2414 0.5447 0.7612
O 0.2453 0.4645 0.0136
O 0.2460 0.0415 0.2612
O 0.2460 0.9666 0.5160
O 0.2496 0.4619 0.5145
O 0.2532 0.9625 0.0106
O 0.3305 0.3420 0.1524
O 0.3336 0.3451 0.6555
O 0.3351 0.8443 0.6554
O 0.3353 0.8564 0.1516
O 0.3543 0.3681 0.3744
O 0.3542 0.3724 0.8711
O 0.3556 0.8689 0.8706
O 0.3614 0.8735 0.3771
O 0.3756 0.1120 0.1127
O 0.3768 0.6163 0.1168
O 0.3844 0.6151 0.4062
O 0.3846 0.1131 0.6182
O 0.3846 0.6134 0.6158
O 0.3890 0.1250 0.9043
O 0.3911 0.1213 0.4103
O 0.3956 0.6224 0.9080
O 0.4833 0.2251 0.2640
O 0.4874 0.2241 0.7637
O 0.4878 0.7223 0.2644
O 0.4914 0.7184 0.7635
O 0.4953 0.2963 0.0116
O 0.4991 0.2984 0.5167
O 0.5001 0.7944 0.5150
O 0.5028 0.7967 0.0108
O 0.5814 0.4095 0.6639
O 0.5811 0.9071 0.6620
O 0.5807 0.9079 0.1631
O 0.5823 0.4069 0.1595
O 0.6065 0.9136 0.8615
O 0.6080 0.4141 0.3645
O 0.6143 0.4142 0.8670
O 0.6183 0.9187 0.3633
O 0.6386 0.1692 0.8890
O 0.6459 0.1779 0.3935
O 0.6466 0.1653 0.1378
O 0.6483 0.6753 0.3924
O 0.6524 0.6783 0.8924
O 0.6533 0.1719 0.6348
O 0.6552 0.6706 0.6340
O 0.6582 0.6659 0.1348
O 0.7591 0.4806 0.5183
O 0.7592 0.9819 0.0122
O 0.7655 0.9784 0.5172
O 0.7775 0.4871 0.0154
O 0.8399 0.9050 0.1896
O 0.8409 0.4116 0.7055
O 0.8410 0.9150 0.7100
O 0.8462 0.4030 0.2072
O 0.8841 0.1090 0.8771
O 0.8906 0.1018 0.3831
O 0.8944 0.5925 0.3856
O 0.8940 0.5938 0.8756
O 0.9414 0.2806 0.5120
O 0.9414 0.7632 0.0117
O 0.9413 0.7766 0.5137
O 0.9604 0.2649 0.0287

Output
- Symmetry: P1 (1)
- Formation energy from the elements: -2.531 eV/atom
- Raw total energy: -7.005 eV per atom
- E above lowest polymorph: 0.000 eV/atom

(6)
Entry from Materials Project: a relaxed SrCa7Mn6Cr2O23 crystal (GGA+U).

Lattice parameters (Å, degrees): 7.6363 7.6692 7.6949 89.80 89.84 89.95
Fractional coordinates of all 39 atoms:
Sr 0.0000 0.0000 0.0000
Ca 0.0068 0.4942 0.4864
Ca 0.0087 0.9945 0.4837
Ca 0.0117 0.4719 0.0114
Ca 0.4691 0.4747 0.4955
Ca 0.4768 0.0036 0.9871
Ca 0.4789 0.0129 0.4864
Ca 0.4982 0.4914 0.0099
Mn 0.2437 0.2451 0.7456
Mn 0.2469 0.2449 0.2459
Mn 0.2501 0.7452 0.2411
Mn 0.7405 0.7437 0.2619
Mn 0.7437 0.2482 0.2542
Mn 0.7456 0.2530 0.7541
Cr 0.2422 0.7405 0.7416
Cr 0.7343 0.7344 0.7279
O 0.1875 0.7200 0.9915
O 0.2180 0.2193 0.4969
O 0.2340 0.4934 0.7081
O 0.2499 0.4962 0.2672
O 0.2517 0.9954 0.2245
O 0.2533 0.9923 0.7681
O 0.2756 0.2690 0.9949
O 0.3029 0.7646 0.4889
O 0.4930 0.7263 0.7977
O 0.4956 0.2467 0.7139
O 0.4959 0.2496 0.2850
O 0.5027 0.7542 0.1776
O 0.6907 0.6831 0.5124
O 0.7102 0.2052 0.0074
O 0.7388 0.9568 0.7714
O 0.7456 0.9944 0.3107
O 0.7502 0.4992 0.1990
O 0.7665 0.5342 0.8349
O 0.7721 0.2971 0.5057
O 0.9903 0.7520 0.6809
O 0.9948 0.2429 0.7827
O 0.9954 0.2462 0.2247
O 0.9954 0.7481 0.2863

Output
- Symmetry: P1 (1)
- Formation energy from the elements: -2.524 eV/atom
- Raw total energy: -6.986 eV per atom

The lowest formation energy from the elements belongs to which entry? number 2